Record 1
NbCr3Cu2S8 | the Materials Project database | PBE | relaxed; symmetry = Pmn2_1 (31); energy above the most stable polymorph in this dataset = 198 meV per atom
1.0
-1.1857 -1.4098 -2.8450
-4.1805 -8.3929 5.9015
-10.6672 6.2587 1.3444
Nb Cr Cu S
2 6 4 16
Direct
0.0000 0.8360 0.5725 Nb
0.5000 0.1640 0.0725 Nb
0.5000 0.6853 0.8853 Cr
0.0000 0.8029 0.1196 Cr
0.0000 0.3147 0.3853 Cr
0.5000 0.1971 0.6196 Cr
0.5000 0.6719 0.4163 Cr
0.0000 0.3281 0.9163 Cr
0.5000 0.4670 0.6832 Cu
0.0000 0.0375 0.3382 Cu
0.0000 0.5330 0.1832 Cu
0.5000 0.9625 0.8382 Cu
0.0000 0.7000 0.2904 S
0.5000 0.8049 0.7158 S
0.5000 0.3000 0.7904 S
0.0000 0.1951 0.2158 S
0.5000 0.6536 0.0728 S
0.0000 0.8328 0.9331 S
0.0000 0.3464 0.5728 S
0.5000 0.1672 0.4331 S
0.0000 0.6230 0.5463 S
0.5000 0.8853 0.4323 S
0.5000 0.3770 0.0463 S
0.0000 0.1147 0.9323 S
0.0000 0.5434 0.8393 S
0.5000 0.9450 0.1552 S
0.5000 0.4566 0.3393 S
0.0000 0.0550 0.6552 S

---

Record 2
NbCr3Cu2S8 | the Materials Project database | PBE | relaxed; symmetry = Pm (6); energy above the most stable polymorph in this dataset = 83 meV per atom
1.0
-3.1791 1.3240 0.1170
-2.2611 -5.3024 -1.4354
-0.7650 -2.8111 11.0279
Nb Cr Cu S
1 3 2 8
Direct
0.5000 0.5410 0.2550 Nb
0.0000 0.0205 0.7605 Cr
0.0000 0.9594 0.2428 Cr
0.5000 0.4813 0.7403 Cr
0.5000 0.5011 0.9976 Cu
0.0000 0.0070 0.5058 Cu
0.5000 0.1717 0.8746 S
0.5000 0.8438 0.1126 S
0.0000 0.6707 0.3903 S
0.0000 0.3329 0.6245 S
0.0000 0.6586 0.8590 S
0.0000 0.3229 0.1365 S
0.5000 0.1458 0.3566 S
0.5000 0.8432 0.6438 S

---

Record 3
Cr8Cu3NiS16 | the Materials Project database | PBE | relaxed; symmetry = R3m (160)
1.0
11.5085 -3.4709 0.0000
11.5085 3.4709 0.0000
10.4616 0.0000 5.9200
Cr Cu Ni S
8 3 1 16
Direct
0.2499 0.2499 0.2499 Cr
0.7499 0.7499 0.7499 Cr
0.0004 0.0004 0.4991 Cr
0.5005 0.5005 0.9990 Cr
0.0004 0.4991 0.0004 Cr
0.5005 0.9990 0.5005 Cr
0.9990 0.5005 0.5005 Cr
0.4991 0.0004 0.0004 Cr
0.4375 0.4375 0.4375 Cu
0.5625 0.5625 0.5625 Cu
0.0625 0.0625 0.0625 Cu
0.9374 0.9374 0.9374 Ni
0.8720 0.8720 0.8720 S
0.3710 0.3710 0.3710 S
0.1342 0.1342 0.6097 S
0.6368 0.6368 0.1055 S
0.1342 0.6097 0.1342 S
0.6368 0.1055 0.6368 S
0.6097 0.1342 0.1342 S
0.1055 0.6368 0.6368 S
0.6289 0.6289 0.6289 S
0.1289 0.1289 0.1289 S
0.3633 0.3633 0.8947 S
0.8633 0.8633 0.3943 S
0.3633 0.8947 0.3633 S
0.8633 0.3943 0.8633 S
0.8947 0.3633 0.3633 S
0.3943 0.8633 0.8633 S

---

Record 4
CrCu4NiSn2 | the Materials Project database | PBE | relaxed; symmetry = R-3m (166)
1.0
-5.0161 -0.5919 5.5684
-1.1647 -1.8346 7.1969
-2.1005 2.4080 6.8050
Cr Cu Ni Sn
1 4 1 2
Direct
0.0000 0.0000 0.0000 Cr
0.3764 0.3764 0.3764 Cu
0.8739 0.8739 0.8739 Cu
0.6236 0.6236 0.6236 Cu
0.1261 0.1261 0.1261 Cu
0.5000 0.5000 0.5000 Ni
0.7504 0.7504 0.7504 Sn
0.2496 0.2496 0.2496 Sn

---

Record 5
CrCuP2Se6 | the Materials Project database | PBE | relaxed; symmetry = C2 (5)
1.0
5.4145 3.1283 0.0000
-5.4145 3.1283 0.0000
0.0000 2.0143 6.8740
Cr Cu P Se
1 1 2 6
Direct
0.3329 0.6671 0.0000 Cr
0.6704 0.3296 0.0000 Cu
0.0516 0.0526 0.8386 P
0.9474 0.9484 0.1614 P
0.0922 0.4309 0.7617 Se
0.4138 0.0611 0.7614 Se
0.9389 0.5862 0.2386 Se
0.5691 0.9078 0.2383 Se
0.7222 0.7385 0.7619 Se
0.2615 0.2778 0.2381 Se

---

Record 6
CrCuS4 | the Materials Project database | PBE | relaxed; symmetry = P2_1/c (14)
1.0
5.7567 0.0000 0.0000
0.0000 5.7429 0.0000
0.0000 0.0148 5.7928
Cr Cu S
2 2 8
Direct
0.0000 0.5000 0.5000 Cr
0.5000 0.0000 0.5000 Cr
0.0000 0.0000 0.0000 Cu
0.5000 0.5000 0.0000 Cu
0.5988 0.1021 0.1107 S
0.0988 0.3979 0.8893 S
0.3848 0.6147 0.4021 S
0.8848 0.8853 0.5979 S
0.4012 0.8979 0.8893 S
0.9012 0.6021 0.1107 S
0.6152 0.3853 0.5979 S
0.1152 0.1147 0.4021 S

---

Record 7
TaCr3Cu2S8 | the Materials Project database | PBE | relaxed; symmetry = P2/c (13); energy above the most stable polymorph in this dataset = 152 meV per atom
1.0
-2.1730 4.9965 2.4361
-3.2468 -3.7279 4.7499
6.6682 -2.9086 11.9135
Ta Cr Cu S
2 6 4 16
Direct
0.5000 0.5000 0.0000 Ta
0.5000 0.5000 0.5000 Ta
0.9961 0.7530 0.9958 Cr
0.9961 0.2470 0.5042 Cr
0.0039 0.2470 0.0042 Cr
0.0039 0.7530 0.4958 Cr
0.5000 0.0000 0.0000 Cr
0.5000 0.0000 0.5000 Cr
0.3525 0.0000 0.7500 Cu
0.6475 0.0000 0.2500 Cu
0.0294 0.5000 0.2500 Cu
0.9706 0.5000 0.7500 Cu
0.8401 0.3866 0.1163 S
0.8401 0.6134 0.3837 S
0.1698 0.1047 0.8885 S
0.1698 0.8953 0.6115 S
0.1599 0.6134 0.8837 S
0.1599 0.3866 0.6163 S
0.8302 0.8953 0.1115 S
0.8302 0.1047 0.3885 S
0.6604 0.8689 0.8857 S
0.6604 0.1311 0.6143 S
0.3396 0.1311 0.1143 S
0.3396 0.8689 0.3857 S
0.3228 0.6452 0.1112 S
0.3228 0.3548 0.3888 S
0.6772 0.3548 0.8888 S
0.6772 0.6452 0.6112 S

---

Record 8
TaCr3Cu2S8 | the Materials Project database | PBE | relaxed; symmetry = P1 (1); energy above the most stable polymorph in this dataset = 237 meV per atom
1.0
-5.9278 -1.5554 1.3322
-0.9978 -2.0827 -6.8724
2.3613 -12.0643 1.4609
Ta Cr Cu S
2 6 4 16
Direct
0.8596 0.2990 0.2963 Ta
0.2170 0.8871 0.9982 Ta
0.1479 0.6989 0.7042 Cr
0.7565 0.1180 0.9953 Cr
0.3627 0.5584 0.2896 Cr
0.6292 0.4482 0.7108 Cr
0.3660 0.0435 0.2938 Cr
0.6244 0.9476 0.7052 Cr
0.1293 0.2010 0.6995 Cu
0.8779 0.8017 0.2966 Cu
0.2599 0.3764 0.9953 Cu
0.7496 0.6269 0.9991 Cu
0.1123 0.6526 0.8888 S
0.8978 0.3439 0.1067 S
0.0963 0.1541 0.8889 S
0.8919 0.8517 0.1095 S
0.1958 0.7810 0.3690 S
0.7982 0.2167 0.6384 S
0.1885 0.2851 0.3717 S
0.8181 0.7138 0.6383 S
0.3119 0.9653 0.6297 S
0.6903 0.0270 0.3742 S
0.3176 0.4656 0.6350 S
0.6847 0.5395 0.3684 S
0.4137 0.0944 0.1049 S
0.5976 0.9028 0.8933 S
0.3949 0.6072 0.1052 S
0.6102 0.3928 0.8941 S

---

Record 9
TaCr3Cu2S8 | the Materials Project database | PBE | relaxed; symmetry = Pmn2_1 (31); energy above the most stable polymorph in this dataset = 215 meV per atom
1.0
11.4525 0.0000 0.0000
0.0000 3.4143 0.0000
0.0000 0.0000 11.9713
Ta Cr Cu S
2 6 4 16
Direct
0.8514 0.7500 0.2919 Ta
0.6486 0.2500 0.7919 Ta
0.1150 0.2500 0.0736 Cr
0.8917 0.7500 0.9261 Cr
0.3850 0.7500 0.5736 Cr
0.6083 0.2500 0.4261 Cr
0.1479 0.2500 0.7036 Cr
0.3521 0.7500 0.2036 Cr
0.1333 0.7500 0.4314 Cu
0.8838 0.2500 0.5740 Cu
0.3667 0.2500 0.9314 Cu
0.6162 0.7500 0.0740 Cu
0.0344 0.7500 0.6089 S
0.9710 0.2500 0.3832 S
0.4656 0.2500 0.1089 S
0.5290 0.7500 0.8832 S
0.0312 0.2500 0.8828 S
0.9689 0.7500 0.1198 S
0.4688 0.7500 0.3828 S
0.5311 0.2500 0.6198 S
0.2150 0.2500 0.2520 S
0.7964 0.7500 0.7449 S
0.2850 0.7500 0.7520 S
0.7036 0.2500 0.2449 S
0.2473 0.7500 0.0306 S
0.7527 0.2500 0.9773 S
0.2527 0.2500 0.5306 S
0.7473 0.7500 0.4773 S

---

Record 10
TaCr3Cu2S8 | the Materials Project database | PBE | relaxed; symmetry = C2 (5); energy above the most stable polymorph in this dataset = 3 meV per atom
1.0
3.5646 5.9977 0.0000
-3.5646 5.9977 0.0000
0.0000 3.9121 5.7809
Ta Cr Cu S
1 3 2 8
Direct
0.3585 0.6415 0.0000 Ta
0.8840 0.6208 0.0011 Cr
0.3792 0.1160 0.9989 Cr
0.3801 0.6199 0.5000 Cr
0.7396 0.0068 0.3723 Cu
0.9932 0.2604 0.6277 Cu
0.1308 0.8633 0.7464 S
0.1368 0.3696 0.2318 S
0.6013 0.3766 0.7588 S
0.1374 0.3815 0.7609 S
0.6234 0.3987 0.2412 S
0.6185 0.8626 0.2391 S
0.1367 0.8692 0.2536 S
0.6304 0.8632 0.7682 S

---

Record 11
TaCr3Cu2S8 | the Materials Project database | PBE | relaxed; symmetry = R-3m (166); energy above the most stable polymorph in this dataset = 3 meV per atom
1.0
2.7629 3.5845 5.3063
2.5272 -3.3700 5.7653
7.0283 -0.1555 1.2496
Ta Cr Cu S
1 3 2 8
Direct
0.0000 0.5000 0.5000 Ta
0.5000 0.5000 0.5000 Cr
0.5000 0.5000 0.0000 Cr
0.5000 0.0001 0.5000 Cr
0.8775 0.8741 0.8742 Cu
0.1226 0.1259 0.1258 Cu
0.7389 0.7467 0.7467 S
0.2610 0.2533 0.7324 S
0.2610 0.7324 0.2533 S
0.7213 0.2595 0.2596 S
0.7390 0.2677 0.7467 S
0.2787 0.7404 0.7405 S
0.2611 0.2533 0.2533 S
0.7390 0.7466 0.2677 S

---

Record 12
TaCr3Cu2S8 | the Materials Project database | PBE | relaxed; symmetry = P2_1/m (11); energy above the most stable polymorph in this dataset = 208 meV per atom
1.0
11.4325 0.0000 0.0554
0.0000 3.4243 0.0000
0.0554 0.0000 12.0080
Ta Cr Cu S
2 6 4 16
Direct
0.1446 0.2500 0.7092 Ta
0.8554 0.7500 0.2908 Ta
0.1193 0.2500 0.0751 Cr
0.8807 0.7500 0.9249 Cr
0.3906 0.7500 0.5689 Cr
0.6094 0.2500 0.4311 Cr
0.3540 0.7500 0.2066 Cr
0.6460 0.2500 0.7934 Cr
0.1403 0.7500 0.4079 Cu
0.8597 0.2500 0.5921 Cu
0.3920 0.2500 0.9476 Cu
0.6080 0.7500 0.0524 Cu
0.0316 0.7500 0.6111 S
0.9684 0.2500 0.3889 S
0.4741 0.2500 0.1248 S
0.5259 0.7500 0.8752 S
0.0277 0.2500 0.8803 S
0.9723 0.7500 0.1197 S
0.4726 0.7500 0.3836 S
0.5274 0.2500 0.6164 S
0.2135 0.2500 0.2512 S
0.7865 0.7500 0.7488 S
0.2892 0.7500 0.7534 S
0.7108 0.2500 0.2466 S
0.2534 0.7500 0.0308 S
0.7466 0.2500 0.9692 S
0.2528 0.2500 0.5212 S
0.7472 0.7500 0.4788 S

---

These records have final energy values of -6.23; -6.34; -6.39; -4.85; -4.77; -5.36; -6.42; -6.34; -6.36; -6.57; -6.57; -6.37 eV per atom, in the order they appear.
These records have DFT formation energy values of -778; -893; -915; 133; -500; -646; -847; -761; -783; -996; -996; -791 meV/atom, in the order they appear.
These records have calculated volume values of 16.7; 16.7; 16.9; 14.6; 23.3; 16.0; 17.9; 19.8; 16.7; 17.7; 17.7; 16.8 A^3/atom, in the order they appear.